a.
# LiCrPO5

LiCrPO5 after structural relaxation (PBE with a Hubbard U, Materials Project).

Lattice parameters (Å, degrees): 5.5678 11.8532 5.7722 90.00 96.38 90.00
Last column: nearest neighbours and their distance in Å.
Fractional positions:
Li 0.1778 0.2419 0.1530  3 O 1.95-2.03
Li 0.1778 0.2581 0.6530  3 O 1.95-2.03
Li 0.8222 0.7419 0.3470  3 O 1.95-2.03
Li 0.8222 0.7581 0.8470  3 O 1.95-2.03
Cr 0.1823 0.5806 0.5713  3 O 1.74-1.87
Cr 0.1823 0.9194 0.0713  3 O 1.74-1.87
Cr 0.8177 0.0806 0.9287  3 O 1.74-1.87
Cr 0.8177 0.4194 0.4287  3 O 1.74-1.87
P 0.3580 0.6548 0.0907  4 O 1.51-1.57
P 0.3580 0.8452 0.5907  4 O 1.51-1.57
P 0.6420 0.1548 0.4093  4 O 1.51-1.57
P 0.6420 0.3452 0.9093  4 O 1.51-1.57
O 0.1254 0.0834 0.0260  1 Cr 1.74
O 0.1254 0.4166 0.5260  1 Cr 1.74
O 0.1631 0.7493 0.0991  1 P 1.56
O 0.1631 0.7507 0.5991  1 P 1.56
O 0.2647 0.5690 0.8928  1 P 1.57
O 0.2647 0.9310 0.3928  1 P 1.57
O 0.3636 0.5827 0.3200  1 P 1.57
O 0.3636 0.9173 0.8200  1 P 1.57
O 0.3919 0.1989 0.4365  1 P 1.51
O 0.3919 0.3011 0.9365  1 P 1.51
O 0.6081 0.6989 0.0635  1 P 1.51
O 0.6081 0.8011 0.5635  1 P 1.51
O 0.6364 0.0827 0.1800  1 P 1.57
O 0.6364 0.4173 0.6800  1 P 1.57
O 0.7353 0.0690 0.6072  1 P 1.57
O 0.7353 0.4310 0.1072  1 P 1.57
O 0.8369 0.2493 0.4009  1 P 1.56
O 0.8369 0.2507 0.9009  1 P 1.56
O 0.8746 0.5834 0.4740  1 Cr 1.74
O 0.8746 0.9166 0.9740  1 Cr 1.74

## Properties
Crystal system: monoclinic
V, Å³/cell: 379
Symmetry: P2_1/c (14)

b.
# LiCrPO5

LiCrPO5 after structural relaxation (PBE with a Hubbard U, Materials Project).

Lattice parameters (Å, degrees): 7.0103 6.3779 7.4642 90.00 90.00 90.00
Last column: nearest neighbours and their distance in Å.
Fractional positions:
Li 0.0000 0.0000 0.0000  6 O 2.09-2.26
Li 0.0000 0.5000 0.0000  6 O 2.09-2.26
Li 0.5000 0.0000 0.5000  6 O 2.09-2.26
Li 0.5000 0.5000 0.5000  6 O 2.09-2.26
Cr 0.1357 0.2500 0.2708  5 O 1.80-1.97
Cr 0.3643 0.7500 0.7708  5 O 1.80-1.97
Cr 0.6357 0.2500 0.2292  5 O 1.80-1.97
Cr 0.8643 0.7500 0.7292  5 O 1.80-1.97
P 0.1264 0.7500 0.3750  4 O 1.55-1.56
P 0.3736 0.2500 0.8750  4 O 1.55-1.56
P 0.6264 0.7500 0.1250  4 O 1.55-1.56
P 0.8736 0.2500 0.6250  4 O 1.55-1.56
O 0.0585 0.2500 0.5115  1 P 1.55
O 0.1113 0.7500 0.8133  2 Cr 1.80-1.84
O 0.1281 0.5581 0.2481  1 P 1.55
O 0.1281 0.9419 0.2481  1 P 1.55
O 0.1930 0.2500 0.9967  1 P 1.56
O 0.3070 0.7500 0.4967  1 P 1.56
O 0.3719 0.0581 0.7481  1 P 1.55
O 0.3719 0.4419 0.7481  1 P 1.55
O 0.3887 0.2500 0.3133  2 Cr 1.80-1.84
O 0.4415 0.7500 0.0115  1 P 1.55
O 0.5585 0.2500 0.9885  1 P 1.55
O 0.6113 0.7500 0.6867  2 Cr 1.80-1.84
O 0.6281 0.5581 0.2519  1 P 1.55
O 0.6281 0.9419 0.2519  1 P 1.55
O 0.6930 0.2500 0.5033  1 P 1.56
O 0.8070 0.7500 0.0033  1 P 1.56
O 0.8719 0.0581 0.7519  1 P 1.55
O 0.8719 0.4419 0.7519  1 P 1.55
O 0.8887 0.2500 0.1867  2 Cr 1.80-1.84
O 0.9415 0.7500 0.4885  1 P 1.55

## Properties
Crystal system: orthorhombic
V, Å³/cell: 334
Symmetry: Pnma (62)

c.
# LiCrPO5

LiCrPO5 after structural relaxation (PBE with a Hubbard U, Materials Project).

Lattice parameters (Å, degrees): 12.5817 6.2198 10.4558 90.00 90.00 90.00
Last column: nearest neighbours and their distance in Å.
Fractional positions:
Li 0.0983 0.1418 0.0000  2 O 1.92-2.05
Li 0.1629 0.7180 0.7585  2 O 2.09-2.19
Li 0.3371 0.2180 0.2585  2 O 2.09-2.19
Li 0.4017 0.6418 0.5000  2 O 1.92-2.05
Li 0.5983 0.3582 0.0000  2 O 1.92-2.05
Li 0.6629 0.7820 0.7585  2 O 2.09-2.19
Li 0.8371 0.2820 0.2585  2 O 2.09-2.19
Li 0.9017 0.8582 0.5000  2 O 1.92-2.05
Cr 0.1298 0.0010 0.4359  4 O 1.81-1.94
Cr 0.2471 0.7509 0.1855  6 O 1.87-2.00
Cr 0.2529 0.2509 0.6855  6 O 1.87-2.00
Cr 0.3702 0.5010 0.9359  4 O 1.81-1.94
Cr 0.6298 0.4990 0.4359  4 O 1.81-1.94
Cr 0.7471 0.7491 0.1855  6 O 1.87-2.00
Cr 0.7529 0.2491 0.6855  6 O 1.87-2.00
Cr 0.8702 0.9990 0.9359  4 O 1.81-1.94
P 0.0037 0.1708 0.6947  4 O 1.53-1.57
P 0.1877 0.4980 0.4346  4 O 1.53-1.57
P 0.3123 0.9980 0.9346  4 O 1.53-1.57
P 0.4963 0.6708 0.1947  4 O 1.53-1.57
P 0.5037 0.3292 0.6947  4 O 1.53-1.57
P 0.6877 0.0020 0.4346  4 O 1.53-1.57
P 0.8123 0.5020 0.9346  4 O 1.53-1.57
P 0.9963 0.8292 0.1947  4 O 1.53-1.57
O 0.0013 0.9681 0.3196  1 P 1.57
O 0.0160 0.0091 0.5812  1 P 1.56
O 0.0948 0.6879 0.1754  1 P 1.53
O 0.1001 0.3250 0.7035  1 P 1.55
O 0.1127 0.3076 0.4144  1 P 1.53
O 0.1166 0.6927 0.4598  1 P 1.53
O 0.2259 0.0399 0.5623  2 Cr 1.81-1.87
O 0.2264 0.9800 0.3055  2 Cr 1.83-1.92
O 0.2327 0.9751 0.0490  1 P 1.57
O 0.2355 0.0225 0.8182  1 P 1.56
O 0.2645 0.5225 0.3182  1 P 1.56
O 0.2673 0.4751 0.5490  1 P 1.57
O 0.2736 0.4800 0.8055  2 Cr 1.83-1.92
O 0.2741 0.5399 0.0623  2 Cr 1.81-1.87
O 0.3834 0.1927 0.9598  1 P 1.53
O 0.3873 0.8076 0.9144  1 P 1.53
O 0.3999 0.8250 0.2035  1 P 1.55
O 0.4052 0.1879 0.6754  1 P 1.53
O 0.4840 0.5091 0.0812  1 P 1.56
O 0.4987 0.4681 0.8196  1 P 1.57
O 0.5013 0.5319 0.3196  1 P 1.57
O 0.5160 0.4909 0.5812  1 P 1.56
O 0.5948 0.8121 0.1754  1 P 1.53
O 0.6001 0.1750 0.7035  1 P 1.55
O 0.6127 0.1924 0.4144  1 P 1.53
O 0.6166 0.8073 0.4598  1 P 1.53
O 0.7259 0.4601 0.5623  2 Cr 1.81-1.87
O 0.7264 0.5200 0.3055  2 Cr 1.83-1.92
O 0.7327 0.5249 0.0490  1 P 1.57
O 0.7355 0.4775 0.8182  1 P 1.56
O 0.7645 0.9775 0.3182  1 P 1.56
O 0.7673 0.0249 0.5490  1 P 1.57
O 0.7736 0.0200 0.8055  2 Cr 1.83-1.92
O 0.7741 0.9601 0.0623  2 Cr 1.81-1.87
O 0.8834 0.3073 0.9598  1 P 1.53
O 0.8873 0.6924 0.9144  1 P 1.53
O 0.8999 0.6750 0.2035  1 P 1.55
O 0.9052 0.3121 0.6754  1 P 1.53
O 0.9840 0.9909 0.0812  1 P 1.56
O 0.9987 0.0319 0.8196  1 P 1.57

## Properties
Crystal system: orthorhombic
V, Å³/cell: 818
Symmetry: Pna2_1 (33)

d.
# LiCrPO5

LiCrPO5 after structural relaxation (PBE with a Hubbard U, Materials Project).

Lattice parameters (Å, degrees): 7.6021 6.0400 7.7674 90.00 90.00 90.00
Last column: nearest neighbours and their distance in Å.
Fractional positions:
Li 0.1401 0.2500 0.1641  4 O 1.85-1.98
Li 0.3599 0.7500 0.6641  4 O 1.85-1.98
Li 0.6401 0.2500 0.3359  4 O 1.85-1.98
Li 0.8599 0.7500 0.8359  4 O 1.85-1.98
Cr 0.0000 0.0000 0.5000  6 O 1.87-2.08
Cr 0.0000 0.5000 0.5000  6 O 1.87-2.08
Cr 0.5000 0.0000 0.0000  6 O 1.87-2.08
Cr 0.5000 0.5000 0.0000  6 O 1.87-2.08
P 0.1399 0.7500 0.1658  4 O 1.49-1.60
P 0.3601 0.2500 0.6658  4 O 1.49-1.60
P 0.6399 0.7500 0.3342  4 O 1.49-1.60
P 0.8601 0.2500 0.8342  4 O 1.49-1.60
O 0.0009 0.7500 0.0306  1 P 1.49
O 0.1130 0.7500 0.5891  2 Cr 1.87, 1 Li 1.97
O 0.1334 0.5392 0.2830  1 P 1.57
O 0.1334 0.9608 0.2830  1 P 1.57
O 0.1688 0.2500 0.5799  1 P 1.60
O 0.3312 0.7500 0.0799  1 P 1.60
O 0.3666 0.0392 0.7830  1 P 1.57
O 0.3666 0.4608 0.7830  1 P 1.57
O 0.3870 0.2500 0.0891  2 Cr 1.87, 1 Li 1.97
O 0.4991 0.2500 0.5306  1 P 1.49
O 0.5009 0.7500 0.4694  1 P 1.49
O 0.6130 0.7500 0.9109  2 Cr 1.87, 1 Li 1.97
O 0.6334 0.5392 0.2170  1 P 1.57
O 0.6334 0.9608 0.2170  1 P 1.57
O 0.6688 0.2500 0.9201  1 P 1.60
O 0.8312 0.7500 0.4201  1 P 1.60
O 0.8666 0.0392 0.7170  1 P 1.57
O 0.8666 0.4608 0.7170  1 P 1.57
O 0.8870 0.2500 0.4109  2 Cr 1.87, 1 Li 1.97
O 0.9991 0.2500 0.9694  1 P 1.49

## Properties
Crystal system: orthorhombic
V, Å³/cell: 357
Symmetry: Pnma (62)

Winner for stability: b